The following is a DFT calculation (GGA-PBE) of Na6Zr2Zn2Si3S3O24 after structural relaxation.

Results
formation energy from the elements: -100.69 eV/f.u.
MP2020-corrected energy: -275.68 eV per formula unit

a = 9.1534 Å, b = 9.1672 Å, c = 22.7947 Å
α = 89.51°, β = 89.85°, γ = 60.43°
Space group P1 (No. 1)
Unique sites:
Na 0.0000 0.0000 0.0000 (multiplicity 1)
Na 0.0023 0.6724 0.8365 (multiplicity 1)
Na 0.2718 0.3564 0.9934 (multiplicity 1)
Na 0.2913 0.9997 0.5110 (multiplicity 1)
Na 0.3166 0.6483 0.4236 (multiplicity 1)
Na 0.3236 0.6510 0.9112 (multiplicity 1)
Na 0.3413 0.2709 0.6667 (multiplicity 1)
Na 0.3566 0.3330 0.3359 (multiplicity 1)
Na 0.5953 0.3386 0.8278 (multiplicity 1)
Na 0.6164 0.6729 0.3459 (multiplicity 1)
Na 0.6326 0.0039 0.7421 (multiplicity 1)
Na 0.6396 0.0089 0.2491 (multiplicity 1)
Na 0.6521 0.3592 0.5022 (multiplicity 1)
Na 0.6678 0.6693 0.6633 (multiplicity 1)
Na 0.6708 0.2811 0.1656 (multiplicity 1)
Na 0.9507 0.6609 0.1587 (multiplicity 1)
Na 0.9736 0.3357 0.0752 (multiplicity 1)
Na 0.9812 0.3314 0.5802 (multiplicity 1)
Zr 0.3175 0.6405 0.0648 (multiplicity 1)
Zr 0.3297 0.6518 0.5696 (multiplicity 1)
Zr 0.6421 0.0001 0.9033 (multiplicity 1)
Zr 0.6485 0.0022 0.4073 (multiplicity 1)
Zr 0.9876 0.3141 0.2362 (multiplicity 1)
Zr 0.9982 0.3043 0.7314 (multiplicity 1)
Zn 0.3317 0.6382 0.7612 (multiplicity 1)
Zn 0.3376 0.6264 0.2687 (multiplicity 1)
Zn 0.6208 0.0005 0.6034 (multiplicity 1)
Zn 0.6456 0.0040 0.0960 (multiplicity 1)
Zn 0.9619 0.3518 0.4435 (multiplicity 1)
Zn 0.9705 0.3565 0.9399 (multiplicity 1)
Si 0.2741 0.3284 0.8398 (multiplicity 1)
Si 0.3192 0.9410 0.6724 (multiplicity 1)
Si 0.3218 0.3489 0.1721 (multiplicity 1)
Si 0.3387 0.2931 0.5042 (multiplicity 1)
Si 0.6176 0.3494 0.6727 (multiplicity 1)
Si 0.6533 0.6979 0.5063 (multiplicity 1)
Si 0.6616 0.2848 0.0051 (multiplicity 1)
Si 0.6888 0.3229 0.3389 (multiplicity 1)
Si 0.9331 0.7003 0.0082 (multiplicity 1)
S 0.0215 0.6589 0.6732 (multiplicity 1)
S 0.0316 0.9446 0.1729 (multiplicity 1)
S 0.2782 0.0230 0.3380 (multiplicity 1)
S 0.3576 0.9875 0.0060 (multiplicity 1)
S 0.6085 0.6595 0.1732 (multiplicity 1)
S 0.6898 0.6171 0.8378 (multiplicity 1)
S 0.9446 0.9869 0.5058 (multiplicity 1)
S 0.9834 0.6180 0.3356 (multiplicity 1)
S 0.9847 0.0275 0.8403 (multiplicity 1)
O 0.0021 0.1049 0.8935 (multiplicity 1)
O 0.0058 0.1220 0.1765 (multiplicity 1)
O 0.0074 0.4990 0.6763 (multiplicity 1)
O 0.0134 0.5096 0.3868 (multiplicity 1)
O 0.0963 0.6761 0.7280 (multiplicity 1)
O 0.1132 0.8338 0.5076 (multiplicity 1)
O 0.1211 0.8420 0.2240 (multiplicity 1)
O 0.1233 0.6958 0.0108 (multiplicity 1)
O 0.1251 0.8573 0.8328 (multiplicity 1)
O 0.1272 0.8740 0.1175 (multiplicity 1)
O 0.1302 0.6417 0.3278 (multiplicity 1)
O 0.1342 0.6291 0.6219 (multiplicity 1)
O 0.1382 0.3508 0.1768 (multiplicity 1)
O 0.1537 0.1376 0.6752 (multiplicity 1)
O 0.1631 0.3512 0.8983 (multiplicity 1)
O 0.1650 0.2920 0.4914 (multiplicity 1)
O 0.1794 0.3063 0.7815 (multiplicity 1)
O 0.1825 0.0997 0.3909 (multiplicity 1)
O 0.1882 0.1340 0.9990 (multiplicity 1)
O 0.1923 0.1392 0.2853 (multiplicity 1)
O 0.2862 0.4806 0.1151 (multiplicity 1)
O 0.2870 0.8637 0.6111 (multiplicity 1)
O 0.2960 0.4966 0.8342 (multiplicity 1)
O 0.3016 0.8550 0.3279 (multiplicity 1)
O 0.3327 0.4760 0.5073 (multiplicity 1)
O 0.3386 0.8259 0.7283 (multiplicity 1)
O 0.3386 0.8348 0.0115 (multiplicity 1)
O 0.3484 0.4349 0.2301 (multiplicity 1)
O 0.4223 0.1786 0.5615 (multiplicity 1)
O 0.4357 0.0133 0.0579 (multiplicity 1)
O 0.4495 0.0124 0.3388 (multiplicity 1)
O 0.4623 0.9613 0.9524 (multiplicity 1)
O 0.4669 0.1588 0.8432 (multiplicity 1)
O 0.4705 0.6923 0.5066 (multiplicity 1)
O 0.4726 0.2018 0.4460 (multiplicity 1)
O 0.4836 0.4702 0.0095 (multiplicity 1)
O 0.4847 0.9636 0.6692 (multiplicity 1)
O 0.4899 0.1680 0.1635 (multiplicity 1)
O 0.5002 0.4934 0.3342 (multiplicity 1)
O 0.5043 0.4238 0.7315 (multiplicity 1)
O 0.5124 0.6792 0.2273 (multiplicity 1)
O 0.5200 0.6386 0.8331 (multiplicity 1)
O 0.5235 0.4805 0.6153 (multiplicity 1)
O 0.5241 0.6342 0.1216 (multiplicity 1)
O 0.6160 0.1953 0.9496 (multiplicity 1)
O 0.6266 0.8121 0.4441 (multiplicity 1)
O 0.6368 0.1672 0.6620 (multiplicity 1)
O 0.6406 0.8000 0.1672 (multiplicity 1)
O 0.6622 0.1554 0.3395 (multiplicity 1)
O 0.6739 0.7879 0.5630 (multiplicity 1)
O 0.6832 0.7844 0.8439 (multiplicity 1)
O 0.6889 0.1792 0.0653 (multiplicity 1)
O 0.7686 0.5098 0.8897 (multiplicity 1)
O 0.7799 0.4973 0.1762 (multiplicity 1)
O 0.7816 0.3504 0.3941 (multiplicity 1)
O 0.7938 0.3590 0.6790 (multiplicity 1)
O 0.7939 0.5404 0.7843 (multiplicity 1)
O 0.8008 0.5036 0.5026 (multiplicity 1)
O 0.8019 0.3027 0.2780 (multiplicity 1)
O 0.8224 0.0159 0.8424 (multiplicity 1)
O 0.8234 0.7818 0.3391 (multiplicity 1)
O 0.8296 0.7866 0.0675 (multiplicity 1)
O 0.8319 0.2926 0.9937 (multiplicity 1)
O 0.8391 0.0104 0.5566 (multiplicity 1)
O 0.8466 0.8184 0.9490 (multiplicity 1)
O 0.8526 0.8010 0.6658 (multiplicity 1)
O 0.8616 0.9622 0.1703 (multiplicity 1)
O 0.8618 0.9656 0.4507 (multiplicity 1)
O 0.9547 0.1391 0.7878 (multiplicity 1)
O 0.9594 0.5334 0.2816 (multiplicity 1)
O 0.9660 0.1354 0.4976 (multiplicity 1)
O 0.9814 0.5057 0.0039 (multiplicity 1)